No. 1
## CeB2Ru (GGA-PBE)

Data for a relaxed structure of CeB2Ru.

```
CeB2Ru
1.0
5.930 0.000 0.000
0.000 5.382 0.000
0.000 0.000 6.484
Ce B Ru
4 8 4
Cartesian
0.000 1.346 1.010
5.930 4.037 5.474
2.965 1.346 2.232
2.965 4.037 4.252
0.729 0.481 3.486
0.729 2.210 3.486
2.236 3.172 0.244
2.236 4.902 0.244
3.694 0.481 6.240
3.694 2.210 6.240
5.201 3.172 2.998
5.201 4.902 2.998
1.131 4.037 2.044
1.835 1.346 5.286
4.096 4.037 1.198
4.800 1.346 4.440
```

ΔH_f (0 K): -56.4 kJ per mole of atoms
space group: Pnma, No. 62
total magnetization: 0.00 μB per atom

No. 2
## CeSmB12 (GGA-PBE)

Data for a relaxed structure of CeSmB12.

```
CeSmB12
1.0
5.822 0.000 0.000
0.000 5.822 0.000
0.000 0.000 4.117
Ce Sm B
1 1 12
Cartesian
0.000 0.000 0.000
2.911 2.911 0.000
0.000 2.911 0.819
0.000 2.911 3.298
0.874 2.032 2.059
0.874 3.790 2.059
2.032 0.874 2.059
2.032 4.948 2.059
2.911 0.000 0.819
2.911 0.000 3.298
3.790 0.874 2.059
3.790 4.948 2.059
4.948 2.032 2.059
4.948 3.790 2.059
```

ΔH_f (0 K): -46.9 kJ per mole of atoms
space group: P4/mmm, No. 123

No. 3
## CeThB12 (GGA-PBE)

Data for a relaxed structure of CeThB12.

```
CeThB12
1.0
4.112 0.000 0.000
0.000 4.112 0.000
0.000 0.000 8.228
Ce Th B
1 1 12
Cartesian
0.000 0.000 0.000
0.000 0.000 4.114
0.813 2.056 2.057
0.813 2.056 6.171
2.056 0.813 2.057
2.056 0.813 6.171
2.056 2.056 0.814
2.056 2.056 3.302
2.056 2.056 4.927
2.056 2.056 7.414
2.056 3.299 2.057
2.056 3.299 6.171
3.299 2.056 2.057
3.299 2.056 6.171
```

ΔH_f (0 K): -48.7 kJ per mole of atoms
space group: P4/mmm, No. 123

No. 4
## BCl3 (GGA-PBE)

Data for a relaxed structure of BCl3.

```
BCl3
1.0
6.478 0.000 0.000
-3.239 5.610 0.000
0.000 0.000 7.656
B Cl
2 6
Cartesian
0.000 3.740 1.914
3.239 1.870 5.742
-0.828 2.206 1.914
-0.915 5.224 1.914
1.496 1.820 5.742
1.743 3.790 1.914
4.154 0.386 5.742
4.067 3.404 5.742
```

ΔH_f (0 K): -138.3 kJ per mole of atoms
space group: P6_3/m, No. 176

No. 5
## BCl (GGA-PBE)

Data for a relaxed structure of BCl.

```
BCl
1.0
12.600 0.000 0.000
0.000 12.600 0.000
0.000 0.000 12.600
B Cl
48 48
Cartesian
0.310 0.440 1.649
0.310 5.860 7.949
0.440 1.649 0.310
0.440 4.651 6.610
0.753 7.506 7.281
0.753 11.393 0.981
0.981 0.753 11.393
0.981 5.546 5.093
1.207 7.281 5.546
1.207 11.618 11.846
1.649 0.310 0.440
1.649 5.990 6.740
4.651 6.610 0.440
4.651 12.290 6.740
5.093 0.981 5.546
5.093 5.319 11.846
5.319 7.053 11.393
5.319 11.846 5.093
5.546 1.207 7.281
5.546 5.093 0.981
5.860 7.949 0.310
5.860 10.951 6.610
5.990 6.740 1.649
5.990 12.160 7.949
6.610 0.440 4.651
6.610 5.860 10.951
6.740 1.649 5.990
6.740 4.651 12.290
7.053 7.506 11.618
7.053 11.393 5.319
7.281 0.753 7.506
7.281 5.546 1.207
7.506 7.281 0.753
7.506 11.618 7.053
7.949 0.310 5.860
7.949 5.990 12.160
10.951 6.610 5.860
10.951 12.290 12.160
11.393 0.981 0.753
11.393 5.319 7.053
11.618 7.053 7.506
11.618 11.846 1.207
11.846 1.207 11.618
11.846 5.093 5.319
12.160 7.949 5.990
12.160 10.951 12.290
12.290 6.740 4.651
12.290 12.160 10.951
0.607 0.873 3.327
0.607 5.427 9.627
0.873 2.973 6.907
0.873 3.327 0.607
1.518 8.732 8.273
1.518 10.168 1.973
1.973 1.518 10.168
1.973 4.781 3.868
2.432 8.273 4.781
2.432 10.627 11.081
2.973 6.907 0.873
2.973 11.993 7.173
3.327 0.607 0.873
3.327 5.693 7.173
3.868 1.973 4.781
3.868 4.327 11.081
4.327 7.818 10.168
4.327 11.081 3.868
4.781 2.432 8.273
4.781 3.868 1.973
5.427 9.273 6.907
5.427 9.627 0.607
5.693 7.173 3.327
5.693 11.727 9.627
6.907 0.873 2.973
6.907 5.427 9.273
7.173 2.973 11.993
7.173 3.327 5.693
7.818 8.732 10.627
7.818 10.168 4.327
8.273 1.518 8.732
8.273 4.781 2.432
8.732 8.273 1.518
8.732 10.627 7.818
9.273 6.907 5.427
9.273 11.993 11.727
9.627 0.607 5.427
9.627 5.693 11.727
10.168 1.973 1.518
10.168 4.327 7.818
10.627 7.818 8.732
10.627 11.081 2.432
11.081 2.432 10.627
11.081 3.868 4.327
11.727 9.273 11.993
11.727 9.627 5.693
11.993 7.173 2.973
11.993 11.727 9.273
```

ΔH_f (0 K): -91.1 kJ per mole of atoms
space group: Pa-3, No. 205
total magnetization: 0.01 μB per atom
distance to the lowest polymorph of the same formula: 0.00 eV per formula unit

No. 6
## BCl (GGA-PBE)

Data for a relaxed structure of BCl.

```
BCl
1.0
9.718 0.000 0.000
1.852 11.558 0.000
1.798 1.003 11.540
B Cl
18 18
Cartesian
0.000 0.000 0.000
1.806 2.788 9.581
1.852 1.161 9.891
7.110 10.155 5.934
7.112 8.556 7.661
7.559 10.229 7.605
6.214 8.118 0.296
6.207 2.758 6.148
6.121 2.178 0.212
8.695 9.950 6.236
8.697 8.846 7.436
9.379 2.792 11.387
8.122 0.324 0.364
9.935 3.197 9.891
9.992 7.538 5.140
11.001 8.564 6.072
10.721 1.988 5.464
12.582 8.373 11.060
0.947 5.770 0.157
0.977 2.414 3.791
3.695 11.437 8.704
3.037 8.419 5.934
3.095 3.839 9.017
3.150 11.088 1.086
5.887 10.665 4.860
5.889 7.528 8.255
4.477 2.404 0.430
7.248 11.475 8.769
5.861 7.691 1.930
5.850 4.338 5.554
8.958 3.988 8.619
9.022 10.643 1.231
9.530 7.984 3.512
9.554 5.949 5.729
10.377 10.466 5.716
10.380 8.380 7.999
```

ΔH_f (0 K): -23.1 kJ per mole of atoms
space group: P1, No. 1
total magnetization: 0.00 μB per atom
distance to the lowest polymorph of the same formula: 1.41 eV per formula unit

No. 7
## BCl (GGA-PBE)

Data for a relaxed structure of BCl.

```
BCl
1.0
8.691 0.000 0.000
0.000 8.691 0.000
0.000 0.000 5.880
B Cl
8 8
Cartesian
1.328 6.518 0.872
2.173 5.673 2.068
2.173 7.363 2.068
3.017 6.518 0.872
5.673 2.173 5.008
6.518 1.328 3.812
6.518 3.017 3.812
7.363 2.173 5.008
0.077 2.173 0.130
2.173 0.077 3.070
2.173 4.269 3.070
4.269 2.173 0.130
4.422 6.518 5.750
6.518 4.422 2.810
6.518 8.614 2.810
8.614 6.518 5.750
```

ΔH_f (0 K): -65.1 kJ per mole of atoms
space group: P4_2/nmc, No. 137
total magnetization: 0.00 μB per atom
distance to the lowest polymorph of the same formula: 0.54 eV per formula unit

No. 8
## BCl (GGA-PBE)

Data for a relaxed structure of BCl.

```
BCl
1.0
8.268 0.000 0.000
0.000 13.569 0.000
0.000 0.000 14.589
B Cl
32 32
Cartesian
0.104 0.071 0.655
0.113 5.934 5.154
0.382 0.849 2.461
1.025 12.187 0.996
1.124 1.509 1.010
1.600 12.840 2.523
2.009 12.596 9.569
2.050 13.516 8.070
2.084 0.053 0.776
2.124 0.973 2.275
2.534 0.730 9.817
3.010 12.060 8.304
3.109 1.382 8.291
3.752 12.721 9.755
4.021 7.635 12.448
4.030 13.498 7.950
4.238 6.713 13.934
4.247 0.850 9.435
4.516 5.936 12.128
5.159 8.167 13.593
5.258 5.276 13.579
5.734 7.514 12.066
6.143 7.757 5.020
6.184 6.837 6.518
6.218 6.732 13.813
6.258 5.812 12.314
6.668 6.055 4.771
7.144 8.294 6.285
7.243 5.402 6.298
7.886 7.633 4.834
8.155 12.719 2.141
8.164 6.856 6.639
0.675 8.435 3.676
0.740 0.242 6.931
0.762 11.754 10.417
1.052 7.137 7.939
1.066 3.052 0.237
1.158 10.647 0.225
1.449 5.091 4.456
1.613 1.547 11.077
2.521 12.022 3.783
2.685 8.478 11.751
2.976 2.922 7.520
3.068 10.518 7.531
3.082 6.432 0.644
3.372 1.816 3.123
3.394 13.327 14.226
3.458 5.134 10.970
4.809 11.919 10.913
4.874 6.543 7.657
4.895 8.600 4.171
5.186 13.216 6.650
5.200 3.733 14.352
5.292 9.707 14.363
5.583 1.694 10.133
5.747 5.238 3.512
6.655 8.332 10.806
6.819 11.876 2.838
7.110 3.862 7.069
7.202 9.836 7.058
7.216 0.353 13.944
7.506 4.969 11.466
7.528 7.027 0.363
7.592 1.651 3.619
```

ΔH_f (0 K): -82.6 kJ per mole of atoms
space group: P2_12_12_1, No. 19
total magnetization: 0.00 μB per atom
distance to the lowest polymorph of the same formula: 0.18 eV per formula unit

No. 9
## CsB6Cl6 (GGA-PBE)

Data for a relaxed structure of CsB6Cl6.

```
CsB6Cl6
1.0
4.872 2.813 15.449
-4.872 2.813 15.449
0.000 -5.626 15.449
Cs B Cl
4 24 24
Cartesian
0.000 0.000 5.879
0.000 0.000 13.515
0.000 0.000 32.833
0.000 0.000 40.469
-0.710 -4.872 16.803
-3.727 1.592 15.772
-4.574 -1.821 29.545
-3.864 3.051 16.803
0.484 -4.024 15.772
-3.242 -2.431 30.576
-1.048 -1.296 22.850
-1.647 0.259 23.497
-1.025 0.159 21.814
-0.650 -0.808 24.534
0.375 -0.967 21.814
0.599 -1.555 23.497
-0.599 1.555 22.850
-0.375 0.967 24.534
0.650 0.808 21.814
1.025 -0.159 24.534
1.647 -0.259 22.850
1.048 1.296 23.497
3.242 2.431 15.771
-0.484 4.024 30.576
3.864 -3.051 29.545
4.574 1.821 16.803
3.727 -1.592 30.576
0.710 4.872 29.545
-1.467 -4.071 18.225
-2.158 -2.665 22.484
-2.533 0.301 16.142
-4.259 -0.765 28.123
-3.387 0.537 23.864
-2.115 0.319 20.398
-2.792 3.306 18.225
1.006 -2.344 16.142
-1.334 -1.672 25.949
-1.527 -2.043 30.206
0.781 -1.991 20.398
1.229 -3.201 23.864
-1.229 3.201 22.484
-0.781 1.991 25.949
1.527 2.043 16.142
1.334 1.672 20.398
-1.006 2.344 30.206
2.792 -3.306 28.123
2.115 -0.319 25.949
3.387 -0.537 22.484
4.259 0.765 18.225
2.533 -0.301 30.206
2.158 2.665 23.864
1.467 4.071 28.123
```

ΔH_f (0 K): -119.4 kJ per mole of atoms
space group: R-3, No. 148
total magnetization: 0.00 μB per atom